(1)
Compound: Ba2Ge
Source: the Materials Project database
Functional: r²SCAN
Structure: relaxed

E in eV/cell: -274.3
Energy of formation in eV per atom: -0.56

Geometry as POSCAR:
```
Ba2Ge
1.0
8.5539 0.0000 0.0000
0.0000 5.4557 0.0000
0.0000 0.0000 10.1830
Ba Ge
8 4
Direct
0.0200 0.2500 0.1711
0.1461 0.2500 0.5835
0.3539 0.7500 0.0835
0.4800 0.7500 0.6711
0.5200 0.2500 0.3289
0.6461 0.2500 0.9165
0.8539 0.7500 0.4165
0.9800 0.7500 0.8289
0.2493 0.2500 0.9002
0.2507 0.7500 0.4002
0.7493 0.2500 0.5998
0.7507 0.7500 0.0998
```

=====

(2)
Compound: InGaBr4
Source: the Materials Project database
Functional: r²SCAN
Structure: relaxed

E in eV/cell: -370.7
Energy of formation in eV per atom: -0.94

Geometry as POSCAR:
```
InGaBr4
1.0
8.9397 0.0000 0.0000
0.0000 7.5067 0.0000
-3.6008 0.0000 12.6722
In Ga Br
4 4 16
Direct
0.0000 0.0822 0.2500
0.0000 0.9178 0.7500
0.5000 0.3911 0.7500
0.5000 0.6089 0.2500
0.2829 0.2153 0.0470
0.2829 0.7847 0.5470
0.7171 0.2153 0.4530
0.7171 0.7847 0.9530
0.1580 0.4259 0.1272
0.1580 0.5741 0.6272
0.1987 0.2573 0.8629
0.1987 0.7427 0.3629
0.2142 0.0701 0.5894
0.2142 0.9299 0.0894
0.4490 0.2658 0.3959
0.4490 0.7342 0.8959
0.5510 0.2658 0.1041
0.5510 0.7342 0.6041
0.7858 0.0701 0.9106
0.7858 0.9299 0.4106
0.8013 0.2573 0.6371
0.8013 0.7427 0.1371
0.8420 0.4259 0.3728
0.8420 0.5741 0.8728
```